Density functional theory data (GGA-PBE) for a geometry-optimized LiAlAs2 structure.

Results
ΔE_f (eV/f.u.): -0.95
Symmetry: Ibca, No. 73

Cell: 9.9272 9.9272 9.9272 Å, 133.05 110.45 88.16°
With the nearest neighbours (Å) after each atom.
Fractional positions:
Li: 0.0368 0.1533 0.3880  4 As 2.58-2.89, 1 Li 2.82
Li: 0.2347 0.3467 0.3836  4 As 2.58-2.89, 1 Li 2.82
Li: 0.2653 0.6489 0.1120  4 As 2.58-2.89, 1 Li 2.82
Li: 0.4632 0.8511 0.1164  4 As 2.58-2.89, 1 Li 2.82
Li: 0.5368 0.1489 0.8836  4 As 2.58-2.89, 1 Li 2.82
Li: 0.7347 0.3511 0.8880  4 As 2.58-2.89, 1 Li 2.82
Li: 0.7653 0.6533 0.6164  4 As 2.58-2.89, 1 Li 2.82
Li: 0.9632 0.8467 0.6120  4 As 2.58-2.89, 1 Li 2.82
Al: 0.0513 0.5204 0.2755  4 As 2.46-2.59
Al: 0.2450 0.0204 0.9691  4 As 2.46-2.59
Al: 0.2550 0.2241 0.7755  4 As 2.46-2.59
Al: 0.4487 0.7241 0.4691  4 As 2.46-2.59
Al: 0.5513 0.2759 0.5309  4 As 2.46-2.59
Al: 0.7450 0.7759 0.2245  4 As 2.46-2.59
Al: 0.7550 0.9796 0.0309  4 As 2.46-2.59
Al: 0.9487 0.4796 0.7245  4 As 2.46-2.59
As: 0.0000 0.0000 0.0000  2 Al 2.59, 2 As 2.79, 4 Li 2.86-2.89
As: 0.0000 0.5000 0.5000  2 Al 2.59, 2 As 2.79, 4 Li 2.86-2.89
As: 0.0022 0.2522 0.7500  2 Al 2.46
As: 0.1736 0.7500 0.9236  2 Al 2.48, 2 Li 2.58
As: 0.2500 0.4017 0.1517  2 Al 2.52, 2 Li 2.75
As: 0.2500 0.9017 0.6517  2 Al 2.52, 2 Li 2.75
As: 0.3264 0.2500 0.5764  2 Al 2.48, 2 Li 2.58
As: 0.4978 0.2478 0.2500  2 Al 2.46
As: 0.5000 0.0000 0.5000  2 Al 2.59, 2 As 2.79, 4 Li 2.86-2.89
As: 0.5000 0.5000 0.0000  2 Al 2.59, 2 As 2.79, 4 Li 2.86-2.89
As: 0.5022 0.7522 0.7500  2 Al 2.46
As: 0.6736 0.7500 0.4236  2 Al 2.48, 2 Li 2.58
As: 0.7500 0.0983 0.3483  2 Al 2.52, 2 Li 2.75
As: 0.7500 0.5983 0.8483  2 Al 2.52, 2 Li 2.75
As: 0.8264 0.2500 0.0764  2 Al 2.48, 2 Li 2.58
As: 0.9978 0.7478 0.2500  2 Al 2.46

=====

Density functional theory data (GGA-PBE) for a geometry-optimized LiAlAsO4 structure.

Results
ΔE_f (eV/f.u.): -15.63
Symmetry: I-4, No. 82

Cell: 5.3573 5.3573 5.3573 Å, 127.64 127.64 77.21°
With the nearest neighbours (Å) after each atom.
Fractional positions:
Li: 0.0000 0.0000 0.0000  4 O 2.09
Al: 0.5000 0.5000 0.0000  4 O 1.79
As: 0.2500 0.7500 0.5000  4 O 1.86
O: 0.1907 0.6396 0.0601  1 Al 1.79, 1 As 1.86
O: 0.3604 0.4205 0.5511  1 Al 1.79, 1 As 1.86
O: 0.5795 0.1306 0.9399  1 Al 1.79, 1 As 1.86
O: 0.8694 0.8093 0.4489  1 Al 1.79, 1 As 1.86

=====

Density functional theory data (GGA-PBE) for a geometry-optimized LiAlAsO4 structure.

Results
ΔE_f (eV/f.u.): -15.67
Symmetry: I-4, No. 82

Cell: 5.3266 5.3266 5.3266 Å, 126.84 126.84 78.51°
With the nearest neighbours (Å) after each atom.
Fractional positions:
Li: 0.0000 0.0000 0.0000  4 O 2.08
Al: 0.7500 0.2500 0.5000  4 O 1.78
As: 0.5000 0.5000 0.0000  4 O 1.87
O: 0.1086 0.1868 0.5366  1 Al 1.78, 1 As 1.87
O: 0.4281 0.8914 0.0782  1 Al 1.78, 1 As 1.87
O: 0.6502 0.5719 0.4634  1 Al 1.78, 1 As 1.87
O: 0.8132 0.3498 0.9218  1 Al 1.78, 1 As 1.87

=====

Density functional theory data (GGA-PBE) for a geometry-optimized Na3AlAs2O8 structure.

Results
ΔE_f (eV/f.u.): -31.52
Symmetry: P2_1/c, No. 14

Cell: 6.7137 12.0134 9.6048 Å, 90.00 96.54 90.00°
With the nearest neighbours (Å) after each atom.
Fractional positions:
Na: 0.0972 0.0813 0.2862  4 O 2.39-2.54
Na: 0.0972 0.4187 0.7862  4 O 2.39-2.54
Na: 0.2324 0.6533 0.6308  5 O 2.36-2.58
Na: 0.2324 0.8467 0.1308  5 O 2.36-2.58
Na: 0.3760 0.6048 0.9770  3 O 2.29-2.43
Na: 0.3760 0.8952 0.4770  3 O 2.29-2.43
Na: 0.6240 0.1048 0.5230  3 O 2.29-2.43
Na: 0.6240 0.3952 0.0230  3 O 2.29-2.43
Na: 0.7676 0.1533 0.8692  5 O 2.36-2.58
Na: 0.7676 0.3467 0.3692  5 O 2.36-2.58
Na: 0.9028 0.5813 0.2138  4 O 2.39-2.54
Na: 0.9028 0.9187 0.7138  4 O 2.39-2.54
Al: 0.2807 0.1464 0.9385  4 O 1.78-1.79
Al: 0.2807 0.3536 0.4385  4 O 1.78-1.79
Al: 0.7193 0.6464 0.5615  4 O 1.78-1.79
Al: 0.7193 0.8536 0.0615  4 O 1.78-1.79
As: 0.1362 0.1739 0.6222  4 O 1.69-1.77
As: 0.1362 0.3261 0.1222  4 O 1.69-1.77
As: 0.3956 0.5839 0.3221  4 O 1.69-1.77
As: 0.3956 0.9161 0.8221  4 O 1.69-1.77
As: 0.6044 0.0839 0.1779  4 O 1.69-1.77
As: 0.6044 0.4161 0.6779  4 O 1.69-1.77
As: 0.8638 0.6739 0.8778  4 O 1.69-1.77
As: 0.8638 0.8261 0.3778  4 O 1.69-1.77
O: 0.0791 0.6177 0.8354  1 As 1.69
O: 0.0791 0.8823 0.3354  1 As 1.69
O: 0.0871 0.1970 0.0352  1 As 1.77, 1 Al 1.79
O: 0.0871 0.3030 0.5352  1 As 1.77, 1 Al 1.79
O: 0.2312 0.0035 0.9021  1 As 1.76, 1 Al 1.78
O: 0.2312 0.4965 0.4021  1 As 1.76, 1 Al 1.78
O: 0.2528 0.6557 0.1969  1 As 1.69
O: 0.2528 0.8443 0.6969  1 As 1.69
O: 0.2719 0.0965 0.5204  1 As 1.69
O: 0.2719 0.4035 0.0204  1 As 1.69
O: 0.2759 0.2192 0.7773  1 As 1.75, 1 Al 1.78
O: 0.2759 0.2808 0.2773  1 As 1.75, 1 Al 1.78
O: 0.4088 0.0107 0.2269  1 As 1.69
O: 0.4088 0.4893 0.7269  1 As 1.69
O: 0.4793 0.6718 0.4655  1 As 1.77, 1 Al 1.79
O: 0.4793 0.8282 0.9655  1 As 1.77, 1 Al 1.79
O: 0.5207 0.1718 0.0345  1 As 1.77, 1 Al 1.79
O: 0.5207 0.3282 0.5345  1 As 1.77, 1 Al 1.79
O: 0.5912 0.5107 0.2731  1 As 1.69
O: 0.5912 0.9893 0.7731  1 As 1.69
O: 0.7241 0.7192 0.7227  1 As 1.75, 1 Al 1.78
O: 0.7241 0.7808 0.2227  1 As 1.75, 1 Al 1.78
O: 0.7281 0.5965 0.9796  1 As 1.69
O: 0.7281 0.9035 0.4796  1 As 1.69
O: 0.7472 0.1557 0.3031  1 As 1.69
O: 0.7472 0.3443 0.8031  1 As 1.69
O: 0.7688 0.5035 0.5979  1 As 1.76, 1 Al 1.78
O: 0.7688 0.9965 0.0979  1 As 1.76, 1 Al 1.78
O: 0.9129 0.6970 0.4648  1 As 1.77, 1 Al 1.79
O: 0.9129 0.8030 0.9648  1 As 1.77, 1 Al 1.79
O: 0.9209 0.1177 0.6646  1 As 1.69
O: 0.9209 0.3823 0.1646  1 As 1.69

=====

Density functional theory data (GGA-PBE) for a geometry-optimized Na3Al2As3O12 structure.

Results
ΔE_f (eV/f.u.): -46.18
Symmetry: C2, No. 5

Cell: 10.0185 10.0185 9.9246 Å, 95.11 95.11 84.84°
With the nearest neighbours (Å) after each atom.
Fractional positions:
Na: 0.1005 0.1005 0.0906  4 O 2.31-2.57
Na: 0.1251 0.3737 0.2659  6 O 2.27-2.39
Na: 0.1667 0.6311 0.4258  4 O 2.28-2.52
Na: 0.3689 0.8333 0.5742  4 O 2.28-2.52
Na: 0.3976 0.2337 0.2361  3 O 2.26-2.37
Na: 0.4251 0.1714 0.6736  4 O 2.36-2.62
Na: 0.5820 0.0471 0.0162  4 O 2.31-2.54
Na: 0.6263 0.8749 0.7341  6 O 2.27-2.39
Na: 0.7663 0.6024 0.7639  3 O 2.26-2.37
Na: 0.8286 0.5749 0.3264  4 O 2.36-2.62
Na: 0.8995 0.8995 0.9094  4 O 2.31-2.57
Na: 0.9529 0.4180 0.9838  4 O 2.31-2.54
Al: 0.0970 0.1208 0.7220  6 O 1.87-2.00
Al: 0.1574 0.6182 0.7801  6 O 1.88-2.02
Al: 0.3798 0.6202 0.0000  6 O 1.90-1.91
Al: 0.3818 0.8426 0.2199  6 O 1.88-2.02
Al: 0.5976 0.4024 0.0000  6 O 1.89-1.99
Al: 0.6582 0.3418 0.5000  6 O 1.87-2.05
Al: 0.8794 0.1206 0.5000  6 O 1.90-1.91
Al: 0.8792 0.9030 0.2780  6 O 1.87-2.00
As: 0.0847 0.7025 0.0942  4 O 1.68-1.78
As: 0.1756 0.0412 0.4095  4 O 1.67-1.79
As: 0.2879 0.3246 0.9266  4 O 1.68-1.78
As: 0.2975 0.9153 0.9058  4 O 1.68-1.78
As: 0.4627 0.5360 0.6988  4 O 1.68-1.80
As: 0.4640 0.5373 0.3012  4 O 1.68-1.80
As: 0.5850 0.0319 0.4170  4 O 1.67-1.78
As: 0.6754 0.7121 0.0734  4 O 1.68-1.78
As: 0.7877 0.1990 0.7976  4 O 1.68-1.78
As: 0.8010 0.2123 0.2024  4 O 1.68-1.78
As: 0.9588 0.8244 0.5905  4 O 1.67-1.79
As: 0.9681 0.4150 0.5830  4 O 1.67-1.78
O: 0.0070 0.8566 0.1480  1 As 1.73, 1 Al 1.90
O: 0.0087 0.2386 0.5813  1 As 1.78, 1 Al 1.91
O: 0.0200 0.4745 0.4461  1 As 1.67
O: 0.0268 0.4942 0.7350  1 As 1.72, 1 Al 1.88
O: 0.0330 0.5742 0.1689  1 As 1.68
O: 0.0462 0.6942 0.9203  1 As 1.73, 1 Al 1.92
O: 0.1105 0.7444 0.6481  1 As 1.73, 1 Al 1.90
O: 0.1434 0.9930 0.8520  1 As 1.73, 1 Al 1.90
O: 0.2126 0.0453 0.5836  1 As 1.73, 1 Al 1.93
O: 0.2188 0.1682 0.3293  1 As 1.67
O: 0.2234 0.2444 0.7785  1 As 1.71, 1 Al 1.87
O: 0.2229 0.2802 0.0647  1 As 1.68
O: 0.2495 0.5011 0.9227  1 As 1.78, 1 Al 1.91
O: 0.2556 0.8895 0.3519  1 As 1.73, 1 Al 1.90
O: 0.2617 0.7036 0.1298  1 As 1.78, 1 Al 1.91
O: 0.2908 0.5411 0.6663  1 As 1.72, 1 Al 1.89
O: 0.2964 0.7383 0.8702  1 As 1.78, 1 Al 1.91
O: 0.3058 0.9538 0.0797  1 As 1.73, 1 Al 1.92
O: 0.3306 0.4680 0.3478  1 As 1.68
O: 0.4258 0.9670 0.8311  1 As 1.68
O: 0.4589 0.7092 0.3337  1 As 1.72, 1 Al 1.89
O: 0.4599 0.2859 0.9261  1 As 1.73, 1 Al 1.94
O: 0.4636 0.4953 0.1208  1 As 1.80, 2 Al 1.90-1.99
O: 0.4989 0.7505 0.0773  1 As 1.78, 1 Al 1.91
O: 0.5047 0.5364 0.8792  1 As 1.80, 2 Al 1.90-1.99
O: 0.5058 0.9732 0.2650  1 As 1.72, 1 Al 1.88
O: 0.5255 0.9800 0.5539  1 As 1.67
O: 0.5306 0.3855 0.6274  1 As 1.72, 1 Al 1.87
O: 0.5320 0.6694 0.6522  1 As 1.68
O: 0.5536 0.2042 0.4162  1 As 1.73, 1 Al 1.89
O: 0.6145 0.4694 0.3726  1 As 1.72, 1 Al 1.87
O: 0.6494 0.2725 0.1251  1 As 1.72, 1 Al 1.89
O: 0.7141 0.5401 0.0739  1 As 1.73, 1 Al 1.94
O: 0.7198 0.7771 0.9353  1 As 1.68
O: 0.7250 0.0645 0.8501  1 As 1.68
O: 0.7275 0.3506 0.8749  1 As 1.72, 1 Al 1.89
O: 0.7496 0.1975 0.6193  1 As 1.78, 1 Al 1.90
O: 0.7556 0.7766 0.2215  1 As 1.71, 1 Al 1.87
O: 0.7614 0.9913 0.4187  1 As 1.78, 1 Al 1.91
O: 0.7958 0.4464 0.5838  1 As 1.73, 1 Al 1.89
O: 0.8014 0.0401 0.1654  1 As 1.73, 1 Al 1.92
O: 0.8025 0.2504 0.3807  1 As 1.78, 1 Al 1.90
O: 0.8318 0.7812 0.6707  1 As 1.67
O: 0.9355 0.2750 0.1499  1 As 1.68
O: 0.9547 0.7874 0.4164  1 As 1.73, 1 Al 1.93
O: 0.9599 0.1986 0.8346  1 As 1.73, 1 Al 1.92
O: 0.9616 0.0018 0.6286  1 As 1.79, 2 Al 1.90-2.00
O: 0.9982 0.0384 0.3714  1 As 1.79, 2 Al 1.90-2.00